# PrNdZn2, relaxed, DFT meta-GGA r2SCAN
data_PrNdZn2
_cell_length_a 7.360
_cell_length_b 7.360
_cell_length_c 7.360
_cell_angle_alpha 90.00
_cell_angle_beta 90.00
_cell_angle_gamma 90.00
_symmetry_space_group_name_H-M 'F m -3 m'
_symmetry_Int_Tables_number 225
_symmetry_space_group_name_Hall '-F 4 2 3'
loop_
_atom_site_label
_atom_site_fract_x
_atom_site_fract_y
_atom_site_fract_z
_atom_site_occupancy
Pr1 0.000 0.000 0.000 1
Nd1 0.000 0.000 0.500 1
Zn1 0.250 0.250 0.250 1
# Uncorrected energy: -19.4869 eV/atom

=====

# ThO2, relaxed, DFT meta-GGA r2SCAN
data_ThO2
_cell_length_a 5.601
_cell_length_b 5.601
_cell_length_c 5.601
_cell_angle_alpha 90.00
_cell_angle_beta 90.00
_cell_angle_gamma 90.00
_symmetry_space_group_name_H-M 'F m -3 m'
_symmetry_Int_Tables_number 225
_symmetry_space_group_name_Hall '-F 4 2 3'
loop_
_atom_site_label
_atom_site_fract_x
_atom_site_fract_y
_atom_site_fract_z
_atom_site_occupancy
Th1 0.000 0.000 0.000 1
O1 0.250 0.250 0.250 1
# Uncorrected energy: -32.7057 eV/atom

=====

# Cr5Si3, relaxed, DFT meta-GGA r2SCAN
data_Cr5Si3
_cell_length_a 9.003
_cell_length_b 9.003
_cell_length_c 4.548
_cell_angle_alpha 90.00
_cell_angle_beta 90.00
_cell_angle_gamma 90.00
_symmetry_space_group_name_H-M 'I 4/m c m'
_symmetry_Int_Tables_number 140
_symmetry_space_group_name_Hall '-I 4 2c'
loop_
_atom_site_label
_atom_site_fract_x
_atom_site_fract_y
_atom_site_fract_z
_atom_site_occupancy
Cr1 0.000 0.500 0.250 1
Cr2 0.076 0.228 0.000 1
Si1 0.000 0.000 0.250 1
Si2 0.167 0.333 0.500 1
# Uncorrected energy: -12.8330 eV/atom

=====

# K3InI6, relaxed, DFT meta-GGA r2SCAN
data_K3InI6
_cell_length_a 12.424
_cell_length_b 12.424
_cell_length_c 12.424
_cell_angle_alpha 90.00
_cell_angle_beta 90.00
_cell_angle_gamma 90.00
_symmetry_space_group_name_H-M 'F m -3 m'
_symmetry_Int_Tables_number 225
_symmetry_space_group_name_Hall '-F 4 2 3'
loop_
_atom_site_label
_atom_site_fract_x
_atom_site_fract_y
_atom_site_fract_z
_atom_site_occupancy
K1 0.000 0.000 0.000 1
K2 0.250 0.250 0.250 1
In1 0.000 0.000 0.500 1
I1 0.000 0.000 0.266 1
# Uncorrected energy: -19.9702 eV/atom

=====

# Sr2Co2O5, relaxed, DFT meta-GGA r2SCAN
data_Sr2Co2O5
_cell_length_a 5.328
_cell_length_b 5.411
_cell_length_c 8.959
_cell_angle_alpha 107.53
_cell_angle_beta 107.29
_cell_angle_gamma 90.04
_symmetry_space_group_name_H-M 'P 1'
_symmetry_Int_Tables_number 1
loop_
_symmetry_equiv_pos_as_xyz
'x,y,z'
loop_
_atom_site_label
_atom_site_fract_x
_atom_site_fract_y
_atom_site_fract_z
_atom_site_occupancy
Sr1 0.000 0.000 0.000 1
Sr2 0.222 0.237 0.445 1
Sr3 0.499 0.515 0.000 1
Sr4 0.722 0.722 0.445 1
Co1 0.109 0.619 0.223 1
Co2 0.397 0.931 0.723 1
Co3 0.609 0.119 0.222 1
Co4 0.897 0.306 0.722 1
O1 0.243 0.736 0.508 1
O2 0.254 0.256 0.722 1
O3 0.357 0.367 0.216 1
O4 0.363 0.870 0.228 1
O5 0.458 0.951 0.937 1
O6 0.744 0.286 0.507 1
O7 0.754 0.981 0.722 1
O8 0.857 0.365 0.216 1
O9 0.863 0.873 0.229 1
O10 0.958 0.502 0.936 1
# Uncorrected energy: -11.7134 eV/atom

=====

# Yb2Se3, relaxed, DFT meta-GGA r2SCAN
data_Yb2Se3
_cell_length_a 8.047
_cell_length_b 11.294
_cell_length_c 24.001
_cell_angle_alpha 90.00
_cell_angle_beta 90.00
_cell_angle_gamma 90.00
_symmetry_space_group_name_H-M 'F d d d'
_symmetry_Int_Tables_number 70
loop_
_symmetry_equiv_pos_as_xyz
'x,y,z'
'-x,-y,-z'
'-x+1/4,-y+1/4,z'
'x+1/4,y+1/4,-z'
'x,-y+1/4,-z+1/4'
'-x,y+1/4,z+1/4'
'-x+1/4,y,-z+1/4'
'x+1/4,-y,z+1/4'
'x,y+1/2,z+1/2'
'-x,-y+1/2,-z+1/2'
'-x+1/4,-y+3/4,z+1/2'
'x+1/4,y+3/4,-z+1/2'
'x,-y+3/4,-z+3/4'
'-x,y+3/4,z+3/4'
'-x+1/4,y+1/2,-z+3/4'
'x+1/4,-y+1/2,z+3/4'
'x+1/2,y,z+1/2'
'-x+1/2,-y,-z+1/2'
'-x+3/4,-y+1/4,z+1/2'
'x+3/4,y+1/4,-z+1/2'
'x+1/2,-y+1/4,-z+3/4'
'-x+1/2,y+1/4,z+3/4'
'-x+3/4,y,-z+3/4'
'x+3/4,-y,z+3/4'
'x+1/2,y+1/2,z'
'-x+1/2,-y+1/2,-z'
'-x+3/4,-y+3/4,z'
'x+3/4,y+3/4,-z'
'x+1/2,-y+3/4,-z+1/4'
'-x+1/2,y+3/4,z+1/4'
'-x+3/4,y+1/2,-z+1/4'
'x+3/4,-y+1/2,z+1/4'
loop_
_atom_site_label
_atom_site_fract_x
_atom_site_fract_y
_atom_site_fract_z
_atom_site_occupancy
Yb1 0.125 0.125 0.041 1
Yb2 0.125 0.125 0.377 1
Se1 0.118 0.372 0.206 1
Se2 0.118 0.375 0.375 1
# Uncorrected energy: -25.3674 eV/atom

=====

# Na4Sn3S8, relaxed, DFT meta-GGA r2SCAN
data_Na4Sn3S8
_cell_length_a 11.322
_cell_length_b 7.332
_cell_length_c 17.685
_cell_angle_alpha 90.00
_cell_angle_beta 94.83
_cell_angle_gamma 90.00
_symmetry_space_group_name_H-M 'C 1 2/c 1'
_symmetry_Int_Tables_number 15
loop_
_symmetry_equiv_pos_as_xyz
'x,y,z'
'-x,-y,-z'
'-x,y,-z+1/2'
'x,-y,z+1/2'
'x+1/2,y+1/2,z'
'-x+1/2,-y+1/2,-z'
'-x+1/2,y+1/2,-z+1/2'
'x+1/2,-y+1/2,z+1/2'
loop_
_atom_site_label
_atom_site_fract_x
_atom_site_fract_y
_atom_site_fract_z
_atom_site_occupancy
Na1 0.140 0.126 0.164 1
Na2 0.235 0.165 0.375 1
Sn1 0.000 0.416 0.750 1
Sn2 0.101 0.332 0.968 1
S1 0.019 0.180 0.850 1
S2 0.020 0.349 0.426 1
S3 0.183 0.430 0.252 1
S4 0.203 0.030 0.016 1
# Uncorrected energy: -11.0693 eV/atom

=====

# Sr2LiSi3, relaxed, DFT meta-GGA r2SCAN
data_Sr2LiSi3
_cell_length_a 8.519
_cell_length_b 14.806
_cell_length_c 18.261
_cell_angle_alpha 90.00
_cell_angle_beta 90.00
_cell_angle_gamma 90.00
_symmetry_space_group_name_H-M 'F d d d'
_symmetry_Int_Tables_number 70
loop_
_symmetry_equiv_pos_as_xyz
'x,y,z'
'-x,-y,-z'
'-x+1/4,-y+1/4,z'
'x+1/4,y+1/4,-z'
'x,-y+1/4,-z+1/4'
'-x,y+1/4,z+1/4'
'-x+1/4,y,-z+1/4'
'x+1/4,-y,z+1/4'
'x,y+1/2,z+1/2'
'-x,-y+1/2,-z+1/2'
'-x+1/4,-y+3/4,z+1/2'
'x+1/4,y+3/4,-z+1/2'
'x,-y+3/4,-z+3/4'
'-x,y+3/4,z+3/4'
'-x+1/4,y+1/2,-z+3/4'
'x+1/4,-y+1/2,z+3/4'
'x+1/2,y,z+1/2'
'-x+1/2,-y,-z+1/2'
'-x+3/4,-y+1/4,z+1/2'
'x+3/4,y+1/4,-z+1/2'
'x+1/2,-y+1/4,-z+3/4'
'-x+1/2,y+1/4,z+3/4'
'-x+3/4,y,-z+3/4'
'x+3/4,-y,z+3/4'
'x+1/2,y+1/2,z'
'-x+1/2,-y+1/2,-z'
'-x+3/4,-y+3/4,z'
'x+3/4,y+3/4,-z'
'x+1/2,-y+3/4,-z+1/4'
'-x+1/2,y+3/4,z+1/4'
'-x+3/4,y+1/2,-z+1/4'
'x+3/4,-y+1/2,z+1/4'
loop_
_atom_site_label
_atom_site_fract_x
_atom_site_fract_y
_atom_site_fract_z
_atom_site_occupancy
Sr1 0.125 0.125 0.001 1
Sr2 0.125 0.125 0.501 1
Li1 0.125 0.292 0.125 1
Si1 0.115 0.295 0.878 1
Si2 0.125 0.286 0.625 1
# Uncorrected energy: -10.3335 eV/atom

=====

| no. | energy relative to the elements (eV/atom) |
| --- | --- |
| 1 | -0.326 |
| 2 | -4.232 |
| 3 | -0.122 |
| 4 | -1.172 |
| 5 | -2.089 |
| 6 | -2.169 |
| 7 | -0.885 |
| 8 | -0.500 |